Crystalline UCuBi2 at its relaxed geometry, computed with PBE.

Results
DFT total energy	-22.99	eV/f.u.
total magnetization	0.68	μB/atom

Unit cell a=4.5713 b=4.5713 c=9.2570 alpha=90.00 beta=90.00 gamma=90.00
Positions (direct):
U 0.2500 0.2500 0.2254
U 0.7500 0.7500 0.7746
Cu 0.2500 0.7500 0.0000
Cu 0.7500 0.2500 0.0000
Bi 0.2500 0.2500 0.8205
Bi 0.2500 0.7500 0.5000
Bi 0.7500 0.2500 0.5000
Bi 0.7500 0.7500 0.1795

***

Crystalline NdB4Rh7 at its relaxed geometry, computed with PBE.

Results
DFT total energy	-86.90	eV/f.u.
total magnetization	0.16	μB/atom

Unit cell a=2.9240 b=9.6561 c=5.5703 alpha=90.00 beta=90.00 gamma=90.00
Positions (direct):
Nd 0.0000 0.0000 0.0000
B 0.0000 0.1673 0.4995
B 0.0000 0.3335 0.0007
B 0.0000 0.6665 0.0007
B 0.0000 0.8327 0.4995
Rh 0.0000 0.5000 0.4997
Rh 0.5000 0.0000 0.4991
Rh 0.5000 0.2566 0.7450
Rh 0.5000 0.2596 0.2585
Rh 0.5000 0.5000 0.9944
Rh 0.5000 0.7404 0.2585
Rh 0.5000 0.7434 0.7450

***

Crystalline Li4Sm3Ge4 at its relaxed geometry, computed with PBE.

Results
DFT total energy	-47.68	eV/f.u.
total magnetization	0.00	μB/atom

Unit cell a=8.3496 b=8.3496 c=8.3496 alpha=149.44 beta=132.04 gamma=57.95
Positions (direct):
Li 0.0188 0.8288 0.1900
Li 0.3611 0.1712 0.1900
Li 0.6389 0.8288 0.8100
Li 0.9812 0.1712 0.8100
Sm 0.0000 0.5000 0.5000
Sm 0.3697 0.3697 0.0000
Sm 0.6303 0.6303 0.0000
Ge 0.2133 0.7133 0.5000
Ge 0.3126 0.0000 0.3126
Ge 0.6874 0.0000 0.6874
Ge 0.7867 0.2867 0.5000

***

Crystalline Rb2AgRuF6 at its relaxed geometry, computed with PBE.

Results
DFT total energy	-45.22	eV/f.u.
total magnetization	0.10	μB/atom

Unit cell a=6.2942 b=6.2942 c=6.2942 alpha=60.00 beta=60.00 gamma=60.00
Positions (direct):
Rb 0.2500 0.2500 0.2500
Rb 0.7500 0.7500 0.7500
Ag 0.0000 0.0000 0.0000
Ru 0.5000 0.5000 0.5000
F 0.2714 0.2714 0.7286
F 0.2714 0.7286 0.2714
F 0.2714 0.7286 0.7286
F 0.7286 0.2714 0.2714
F 0.7286 0.2714 0.7286
F 0.7286 0.7286 0.2714

***

Crystalline Mn5Fe5Si2C2 at its relaxed geometry, computed with PBE.

Results
DFT total energy	-119.75	eV/f.u.
total magnetization	1.07	μB/atom

Unit cell a=6.3490 b=6.3490 c=7.4090 alpha=90.00 beta=90.00 gamma=76.54
Positions (direct):
Mn 0.0108 0.6937 0.2105
Mn 0.0175 0.6846 0.8349
Mn 0.0405 0.9595 0.5000
Mn 0.3063 0.9892 0.2105
Mn 0.3154 0.9825 0.8349
Mn 0.6846 0.0175 0.3349
Mn 0.6937 0.0108 0.7105
Mn 0.9595 0.0405 0.0000
Mn 0.9825 0.3154 0.3349
Mn 0.9892 0.3063 0.7105
Fe 0.1935 0.5623 0.5271
Fe 0.3500 0.6500 0.0230
Fe 0.3708 0.3827 0.2743
Fe 0.3827 0.3708 0.7743
Fe 0.4377 0.8065 0.5271
Fe 0.5623 0.1935 0.0271
Fe 0.6173 0.6292 0.2743
Fe 0.6292 0.6173 0.7743
Fe 0.6500 0.3500 0.5230
Fe 0.8065 0.4377 0.0271
Si 0.1716 0.3241 0.0233
Si 0.3241 0.1716 0.5233
Si 0.6759 0.8284 0.0233
Si 0.8284 0.6759 0.5233
C 0.2961 0.7039 0.3175
C 0.3122 0.6878 0.7372
C 0.6878 0.3122 0.2372
C 0.7039 0.2961 0.8175

***

Crystalline CdH16C4Br4N2 at its relaxed geometry, computed with PBE.

Results
DFT total energy	-125.43	eV/f.u.
total magnetization	0.00	μB/atom

Unit cell a=8.3859 b=12.0645 c=17.0617 alpha=90.00 beta=114.09 gamma=90.00
Positions (direct):
Cd 0.2390 0.2059 0.4521
Cd 0.2390 0.2941 0.9521
Cd 0.7610 0.7059 0.0479
Cd 0.7610 0.7941 0.5479
H 0.0305 0.7027 0.8445
H 0.0305 0.7973 0.3445
H 0.0651 0.6727 0.2964
H 0.0651 0.8273 0.7964
H 0.0722 0.1709 0.1456
H 0.0722 0.3291 0.6456
H 0.1217 0.5201 0.4516
H 0.1217 0.9799 0.9516
H 0.1787 0.7141 0.4837
H 0.1787 0.7859 0.9837
H 0.1937 0.5377 0.1191
H 0.1937 0.9623 0.6191
H 0.2604 0.5075 0.7682
H 0.2604 0.9925 0.2682
H 0.2618 0.5247 0.3955
H 0.2618 0.9753 0.8955
H 0.2883 0.0689 0.6987
H 0.2883 0.4311 0.1987
H 0.3069 0.5743 0.2303
H 0.3069 0.9257 0.7303
H 0.3097 0.7188 0.4298
H 0.3097 0.7812 0.9298
H 0.3497 0.5512 0.5089
H 0.3497 0.9488 0.0089
H 0.3609 0.0449 0.2000
H 0.3609 0.4551 0.7000
H 0.3960 0.5962 0.7371
H 0.3960 0.9038 0.2371
H 0.4607 0.0222 0.6171
H 0.4607 0.4778 0.1171
H 0.4896 0.6065 0.1549
H 0.4896 0.8935 0.6549
H 0.5104 0.1065 0.3451
H 0.5104 0.3935 0.8451
H 0.5393 0.5222 0.8829
H 0.5393 0.9778 0.3829
H 0.6040 0.0962 0.7629
H 0.6040 0.4038 0.2629
H 0.6391 0.5449 0.3000
H 0.6391 0.9551 0.8000
H 0.6503 0.0512 0.9911
H 0.6503 0.4488 0.4911
H 0.6903 0.2188 0.0702
H 0.6903 0.2812 0.5702
H 0.6931 0.0743 0.2697
H 0.6931 0.4257 0.7697
H 0.7117 0.5689 0.8013
H 0.7117 0.9311 0.3013
H 0.7382 0.0247 0.1045
H 0.7382 0.4753 0.6045
H 0.7396 0.0075 0.7318
H 0.7396 0.4925 0.2318
H 0.8063 0.0377 0.3809
H 0.8063 0.4623 0.8809
H 0.8213 0.2141 0.0163
H 0.8213 0.2859 0.5163
H 0.8783 0.0201 0.0484
H 0.8783 0.4799 0.5484
H 0.9278 0.6709 0.3544
H 0.9278 0.8291 0.8544
H 0.9349 0.1727 0.2036
H 0.9349 0.3273 0.7036
H 0.9695 0.2027 0.6555
H 0.9695 0.2973 0.1555
C 0.0445 0.7071 0.3509
C 0.0445 0.7929 0.8509
C 0.2354 0.5606 0.4480
C 0.2354 0.9394 0.9480
C 0.3018 0.5163 0.1800
C 0.3018 0.9837 0.6800
C 0.3752 0.5112 0.7531
C 0.3752 0.9888 0.2531
C 0.6248 0.0112 0.7469
C 0.6248 0.4888 0.2469
C 0.6982 0.0163 0.3200
C 0.6982 0.4837 0.8200
C 0.7647 0.0606 0.0520
C 0.7647 0.4394 0.5520
C 0.9555 0.2071 0.1491
C 0.9555 0.2929 0.6491
Br 0.0713 0.7058 0.5931
Br 0.0713 0.7942 0.0931
Br 0.2268 0.5113 0.9415
Br 0.2268 0.9887 0.4415
Br 0.3980 0.2192 0.8567
Br 0.3980 0.2808 0.3567
Br 0.4484 0.2335 0.1111
Br 0.4484 0.2665 0.6111
Br 0.5516 0.7335 0.3889
Br 0.5516 0.7665 0.8889
Br 0.6020 0.7192 0.6433
Br 0.6020 0.7808 0.1433
Br 0.7732 0.0113 0.5585
Br 0.7732 0.4887 0.0585
Br 0.9287 0.2058 0.9069
Br 0.9287 0.2942 0.4069
N 0.1991 0.6814 0.4318
N 0.1991 0.8186 0.9318
N 0.4695 0.5248 0.1695
N 0.4695 0.9752 0.6695
N 0.5305 0.0248 0.3305
N 0.5305 0.4752 0.8305
N 0.8009 0.1814 0.0682
N 0.8009 0.3186 0.5682

***

Crystalline Ti2NiSe4 at its relaxed geometry, computed with PBE.

Results
DFT total energy	-42.09	eV/f.u.
total magnetization	0.00	μB/atom

Unit cell a=6.9152 b=6.9152 c=6.1708 alpha=116.26 beta=116.26 gamma=30.11
Positions (direct):
Ti 0.2477 0.2477 0.2394
Ti 0.7523 0.7523 0.7606
Ni 0.5000 0.5000 0.5000
Se 0.1203 0.1203 0.4540
Se 0.3825 0.3825 0.0478
Se 0.6175 0.6175 0.9522
Se 0.8797 0.8797 0.5460

***

Crystalline Ba4OF6 at its relaxed geometry, computed with PBE.

Results
DFT total energy	-63.11	eV/f.u.
total magnetization	0.00	μB/atom

Unit cell a=8.9744 b=8.9744 c=6.7365 alpha=90.00 beta=90.00 gamma=120.00
Positions (direct):
Ba 0.1838 0.3677 0.0000
Ba 0.1838 0.8162 0.0000
Ba 0.3333 0.6667 0.4860
Ba 0.3677 0.1838 0.5000
Ba 0.6323 0.8162 0.0000
Ba 0.6667 0.3333 0.9860
Ba 0.8162 0.1838 0.5000
Ba 0.8162 0.6323 0.5000
O 0.3333 0.6667 0.1176
O 0.6667 0.3333 0.6176
F 0.0708 0.5354 0.7433
F 0.1481 0.2962 0.4021
F 0.1481 0.8519 0.4021
F 0.2962 0.1481 0.9021
F 0.4646 0.5354 0.7433
F 0.4646 0.9292 0.7433
F 0.5354 0.0708 0.2433
F 0.5354 0.4646 0.2433
F 0.7038 0.8519 0.4021
F 0.8519 0.1481 0.9021
F 0.8519 0.7038 0.9021
F 0.9292 0.4646 0.2433

***

Crystalline Rb2LiHoCl6 at its relaxed geometry, computed with PBE.

Results
DFT total energy	-40.51	eV/f.u.
total magnetization	0.00	μB/atom

Unit cell a=7.3706 b=7.3706 c=7.3706 alpha=60.00 beta=60.00 gamma=60.00
Positions (direct):
Rb 0.2500 0.2500 0.2500
Rb 0.7500 0.7500 0.7500
Li 0.0000 0.0000 0.0000
Ho 0.5000 0.5000 0.5000
Cl 0.2482 0.2482 0.7518
Cl 0.2482 0.7518 0.2482
Cl 0.2482 0.7518 0.7518
Cl 0.7518 0.2482 0.2482
Cl 0.7518 0.2482 0.7518
Cl 0.7518 0.7518 0.2482

***

Crystalline Ca3Eu at its relaxed geometry, computed with PBE.

Results
DFT total energy	-16.08	eV/f.u.

Unit cell a=5.8331 b=5.8331 c=5.8331 alpha=90.00 beta=90.00 gamma=90.00
Positions (direct):
Ca 0.0000 0.0000 0.5000
Ca 0.0000 0.5000 0.0000
Ca 0.5000 0.0000 0.0000
Eu 0.5000 0.5000 0.5000

***

Crystalline Ca3Zr2O7 at its relaxed geometry, computed with PBE.

Results
DFT total energy	-95.69	eV/f.u.
total magnetization	0.00	μB/atom

Unit cell a=10.4368 b=10.4368 c=5.8214 alpha=90.00 beta=90.00 gamma=32.30
Positions (direct):
Ca 0.0527 0.5619 0.7500
Ca 0.2226 0.7774 0.7500
Ca 0.4381 0.9473 0.7500
Ca 0.5619 0.0527 0.2500
Ca 0.7774 0.2226 0.2500
Ca 0.9473 0.4381 0.2500
Zr 0.1526 0.6442 0.2500
Zr 0.3558 0.8474 0.2500
Zr 0.6442 0.1526 0.7500
Zr 0.8474 0.3558 0.7500
O 0.0567 0.3454 0.7500
O 0.0759 0.0759 0.0000
O 0.0759 0.0759 0.5000
O 0.3454 0.0567 0.2500
O 0.3719 0.3719 0.0000
O 0.3719 0.3719 0.5000
O 0.3716 0.6284 0.2500
O 0.6284 0.3716 0.7500
O 0.6281 0.6281 0.0000
O 0.6281 0.6281 0.5000
O 0.6546 0.9433 0.7500
O 0.9241 0.9241 0.0000
O 0.9241 0.9241 0.5000
O 0.9433 0.6546 0.2500

***

Crystalline Mg6MnW at its relaxed geometry, computed with PBE.

Results
DFT total energy	-28.85	eV/f.u.
total magnetization	0.34	μB/atom

Unit cell a=4.8748 b=5.8600 c=10.8286 alpha=90.00 beta=90.00 gamma=90.00
Positions (direct):
Mg 0.0000 0.7434 0.0860
Mg 0.0000 0.5000 0.8192
W 0.5000 0.0000 0.6747
Mg 0.5000 0.2502 0.9225
Mn 0.5000 0.5000 0.6668
Mg 0.0000 0.5000 0.3221
Mg 0.0000 0.2434 0.5860
Mg 0.5000 0.7498 0.9225
Mg 0.0000 0.0000 0.8221
Mg 0.5000 0.7502 0.4225
W 0.5000 0.5000 0.1747
Mn 0.5000 0.0000 0.1668
Mg 0.0000 0.2566 0.0860
Mg 0.5000 0.2498 0.4225
Mg 0.0000 0.0000 0.3192
Mg 0.0000 0.7566 0.5860